{
  "formula": "MgMn6O6F6",
  "functional": "PBE with a Hubbard U",
  "state": "relaxed",
  "lattice": [[-0.7069, -4.1852, -3.0827], [10.5302, -8.6200, 5.4158], [-2.0438, -1.1885, 2.0822]],
  "species": ["Mg", "Mn", "Mn", "Mn", "Mn", "Mn", "Mn", "O", "O", "O", "O", "O", "O", "F", "F", "F", "F", "F", "F"],
  "frac_coords": [[0.5000, 0.0000, 0.4801], [0.0000, 0.0000, 0.9808], [0.1385, 0.3475, 0.9915], [0.8615, 0.6525, 0.9915], [0.7549, 0.2105, 0.4901], [0.5000, 0.5000, 0.4925], [0.2451, 0.7895, 0.4901], [0.1878, 0.9306, 0.4811], [0.0920, 0.7443, 0.9902], [0.3813, 0.4323, 0.9924], [0.9080, 0.2557, 0.9902], [0.6187, 0.5677, 0.9924], [0.8122, 0.0694, 0.4811], [0.3600, 0.2706, 0.4918], [0.0733, 0.5907, 0.4914], [0.3292, 0.0737, 0.9802], [0.6708, 0.9263, 0.9802], [0.9267, 0.4093, 0.4914], [0.6400, 0.7294, 0.4918]],
  "de_polymorph_ev_per_atom": 0.0000,
  "energy_ev_per_cell": -127.60,
  "sg": "P2, No. 3"
}



{
  "formula": "Li3Mn2CoO6",
  "functional": "PBE with a Hubbard U",
  "state": "relaxed",
  "lattice": [[-2.8337, 0.4720, 0.8820], [-3.5221, -9.6873, -11.1549], [1.5858, -4.3969, 2.2455]],
  "species": ["Li", "Li", "Li", "Li", "Li", "Li", "Mn", "Mn", "Mn", "Mn", "Co", "Co", "O", "O", "O", "O", "O", "O", "O", "O", "O", "O", "O", "O"],
  "frac_coords": [[0.2506, 0.2505, 0.2506], [0.7501, 0.7490, 0.7512], [0.7518, 0.0802, 0.4249], [0.2506, 0.5791, 0.9231], [0.7494, 0.4217, 0.0763], [0.2481, 0.9208, 0.5741], [0.0006, 0.6648, 0.3368], [0.4979, 0.8343, 0.1615], [0.5026, 0.1655, 0.8390], [0.9993, 0.3349, 0.6637], [0.4999, 0.4995, 0.5005], [0.9999, 0.9996, 0.0002], [0.1176, 0.1308, 0.1012], [0.6159, 0.6302, 0.5998], [0.3846, 0.3701, 0.4010], [0.8835, 0.8695, 0.8994], [0.6101, 0.2883, 0.9323], [0.1087, 0.7879, 0.4295], [0.8912, 0.2120, 0.5703], [0.3883, 0.7115, 0.0674], [0.1166, 0.4500, 0.7832], [0.6164, 0.9495, 0.2812], [0.3832, 0.0505, 0.7168], [0.8833, 0.5499, 0.2160]],
  "de_polymorph_ev_per_atom": 0.0254,
  "energy_ev_per_cell": -150.98,
  "sg": "P1, No. 1"
}



{
  "formula": "NiSb2O4",
  "functional": "PBE with a Hubbard U",
  "state": "relaxed",
  "lattice": [[-4.2298, -1.4941, -4.0693], [5.8936, -3.8746, -4.7035], [-1.4429, -7.2446, 4.1598]],
  "species": ["Ni", "Ni", "Ni", "Ni", "Sb", "Sb", "Sb", "Sb", "Sb", "Sb", "Sb", "Sb", "O", "O", "O", "O", "O", "O", "O", "O", "O", "O", "O", "O", "O", "O", "O", "O"],
  "frac_coords": [[0.7500, 0.5000, 0.0000], [0.2500, 0.5000, 0.0000], [0.2500, 0.0000, 0.5000], [0.7500, 0.0000, 0.5000], [0.0000, 0.8279, 0.8351], [0.5000, 0.1649, 0.8279], [0.5000, 0.8351, 0.1721], [0.0000, 0.1721, 0.1649], [0.0000, 0.6721, 0.3351], [0.0000, 0.3279, 0.6649], [0.5000, 0.6649, 0.6721], [0.5000, 0.3351, 0.3279], [0.5000, 0.8628, 0.4026], [0.5000, 0.1372, 0.5974], [0.0000, 0.4026, 0.1372], [0.0000, 0.5974, 0.8628], [0.0000, 0.9026, 0.3628], [0.5000, 0.6372, 0.9026], [0.5000, 0.3628, 0.0974], [0.0000, 0.0974, 0.6372], [0.7500, 0.6765, 0.1765], [0.2500, 0.8235, 0.6765], [0.2500, 0.1765, 0.3235], [0.7500, 0.3235, 0.8235], [0.2500, 0.6765, 0.1765], [0.7500, 0.8235, 0.6765], [0.7500, 0.1765, 0.3235], [0.2500, 0.3235, 0.8235]],
  "energy_ev_per_cell": -159.61,
  "sg": "P4_2/mbc, No. 135"
}



{
  "formula": "MgVZn2WO6",
  "functional": "PBE with a Hubbard U",
  "state": "relaxed",
  "lattice": [[2.6790, 4.0523, -2.0711], [-3.8887, -2.7170, -3.6033], [-3.8963, -0.7771, 6.8952]],
  "species": ["Mg", "V", "Zn", "Zn", "W", "O", "O", "O", "O", "O", "O"],
  "frac_coords": [[0.0014, 0.3031, 0.3423], [0.0019, 0.9343, 0.5270], [0.0021, 0.6334, 0.1778], [0.0016, 0.4712, 0.7586], [0.0017, 0.9941, 0.9970], [0.7358, 0.8412, 0.1324], [0.3550, 0.1365, 0.9282], [0.3501, 0.4852, 0.2762], [0.3006, 0.7838, 0.5751], [0.6511, 0.1072, 0.3983], [0.6176, 0.4573, 0.7485]],
  "de_polymorph_ev_per_atom": 0.0000,
  "energy_ev_per_cell": -67.66,
  "sg": "R3, No. 146"
}



{
  "formula": "Na5LiFe2P2C2O14",
  "functional": "PBE with a Hubbard U",
  "state": "relaxed",
  "lattice": [[6.5973, 0.0000, 0.0000], [-0.1098, 8.9980, 0.0000], [-0.0325, -0.1797, 10.3978]],
  "species": ["Na", "Na", "Na", "Na", "Na", "Na", "Na", "Na", "Na", "Na", "Li", "Li", "Fe", "Fe", "Fe", "Fe", "P", "P", "P", "P", "C", "C", "C", "C", "O", "O", "O", "O", "O", "O", "O", "O", "O", "O", "O", "O", "O", "O", "O", "O", "O", "O", "O", "O", "O", "O", "O", "O", "O", "O", "O", "O"],
  "frac_coords": [[0.2458, 0.9171, 0.8809], [0.2480, 0.9174, 0.3795], [0.0011, 0.7398, 0.6245], [0.4995, 0.7390, 0.6240], [0.4985, 0.7397, 0.1246], [0.5015, 0.2603, 0.8754], [0.5005, 0.2610, 0.3760], [0.9989, 0.2602, 0.3755], [0.7520, 0.0826, 0.6205], [0.7542, 0.0829, 0.1191], [0.0044, 0.7308, 0.1233], [0.9956, 0.2692, 0.8767], [0.7517, 0.6452, 0.8939], [0.7505, 0.6450, 0.3915], [0.2495, 0.3550, 0.6085], [0.2483, 0.3548, 0.1061], [0.2460, 0.5836, 0.8509], [0.2468, 0.5877, 0.3486], [0.7532, 0.4123, 0.6514], [0.7540, 0.4164, 0.1491], [0.7565, 0.9438, 0.8669], [0.7521, 0.9392, 0.3646], [0.2479, 0.0608, 0.6354], [0.2435, 0.0562, 0.1331], [0.2520, 0.9172, 0.6434], [0.2333, 0.9119, 0.1397], [0.7511, 0.8793, 0.9779], [0.7513, 0.8771, 0.4769], [0.7510, 0.8615, 0.7625], [0.7567, 0.8557, 0.2610], [0.0635, 0.6814, 0.8947], [0.4391, 0.6740, 0.8942], [0.0623, 0.6817, 0.3942], [0.4386, 0.6820, 0.3882], [0.2469, 0.5673, 0.7016], [0.7503, 0.5659, 0.5881], [0.2377, 0.5708, 0.1989], [0.7646, 0.5727, 0.0893], [0.2354, 0.4273, 0.9107], [0.7623, 0.4292, 0.8011], [0.2497, 0.4341, 0.4119], [0.7531, 0.4327, 0.2984], [0.5614, 0.3180, 0.6118], [0.9377, 0.3183, 0.6058], [0.5609, 0.3260, 0.1058], [0.9365, 0.3186, 0.1053], [0.2433, 0.1443, 0.7390], [0.2490, 0.1385, 0.2375], [0.2487, 0.1229, 0.5231], [0.2489, 0.1207, 0.0221], [0.7667, 0.0881, 0.8603], [0.7480, 0.0828, 0.3566]],
  "de_polymorph_ev_per_atom": 0.0037,
  "energy_ev_per_cell": -338.56,
  "sg": "P-1, No. 2"
}



{
  "formula": "Li2MnF4",
  "functional": "PBE with a Hubbard U",
  "state": "relaxed",
  "lattice": [[-3.0303, 4.3213, 6.1542], [3.0303, -4.3213, 6.1542], [3.0303, 4.3213, -6.1542]],
  "species": ["Li", "Li", "Li", "Li", "Li", "Li", "Li", "Li", "Mn", "Mn", "Mn", "Mn", "F", "F", "F", "F", "F", "F", "F", "F", "F", "F", "F", "F", "F", "F", "F", "F"],
  "frac_coords": [[0.5000, 0.5000, 0.0000], [0.1128, 0.6128, 0.0000], [0.8872, 0.8872, 0.5000], [0.0000, 0.0000, 0.0000], [0.2453, 0.2500, 0.9953], [0.7547, 0.7500, 0.0047], [0.1128, 0.1128, 0.5000], [0.8872, 0.3872, 0.0000], [0.2339, 0.6122, 0.6218], [0.5096, 0.8878, 0.6218], [0.4904, 0.1122, 0.3782], [0.7661, 0.3878, 0.3782], [0.3660, 0.6043, 0.2182], [0.2447, 0.4829, 0.7618], [0.5076, 0.7500, 0.7576], [0.8861, 0.6478, 0.7818], [0.1139, 0.8957, 0.7617], [0.3660, 0.1478, 0.7617], [0.7788, 0.0171, 0.7618], [0.9870, 0.7500, 0.2370], [0.0130, 0.2500, 0.7630], [0.2212, 0.9829, 0.2382], [0.6340, 0.8522, 0.2383], [0.8861, 0.1043, 0.2383], [0.1139, 0.3522, 0.2182], [0.7553, 0.5171, 0.2382], [0.4924, 0.2500, 0.2424], [0.6340, 0.3957, 0.7818]],
  "de_polymorph_ev_per_atom": 0.0544,
  "energy_ev_per_cell": -152.59,
  "sg": "Imma, No. 74"
}



{
  "formula": "MgFe2Ag2O4",
  "functional": "PBE with a Hubbard U",
  "state": "relaxed",
  "lattice": [[-0.1255, 3.0767, -0.4889], [-2.0366, -1.8881, -1.4172], [-9.0570, 1.4018, 11.1473]],
  "species": ["Mg", "Fe", "Fe", "Ag", "Ag", "O", "O", "O", "O"],
  "frac_coords": [[0.0000, 0.0000, 0.1305], [0.0000, 0.0000, 0.5238], [0.0000, 0.0000, 0.9472], [0.6667, 0.3333, 0.7415], [0.3333, 0.6667, 0.3001], [0.3333, 0.6667, 0.4537], [0.6667, 0.3333, 0.8896], [0.6667, 0.3333, 0.5950], [0.3333, 0.6667, 0.0698]],
  "de_polymorph_ev_per_atom": 0.0190,
  "energy_ev_per_cell": -48.21,
  "sg": "P3m1, No. 156"
}



{
  "formula": "CoAs3OF18",
  "functional": "PBE with a Hubbard U",
  "state": "relaxed",
  "lattice": [[-9.1312, 1.4830, -2.0549], [-1.5829, -10.4063, -0.4764], [-3.0917, -0.1536, 13.6279]],
  "species": ["Co", "Co", "Co", "Co", "As", "As", "As", "As", "As", "As", "As", "As", "As", "As", "As", "As", "O", "O", "O", "O", "F", "F", "F", "F", "F", "F", "F", "F", "F", "F", "F", "F", "F", "F", "F", "F", "F", "F", "F", "F", "F", "F", "F", "F", "F", "F", "F", "F", "F", "F", "F", "F", "F", "F", "F", "F", "F", "F", "F", "F", "F", "F", "F", "F", "F", "F", "F", "F", "F", "F", "F", "F", "F", "F", "F", "F", "F", "F", "F", "F", "F", "F", "F", "F", "F", "F", "F", "F", "F", "F", "F", "F"],
  "frac_coords": [[0.5000, 0.0000, 0.0000], [0.0000, 0.5000, 0.5000], [0.5000, 0.0000, 0.5000], [0.0000, 0.5000, 0.0000], [0.6956, 0.7042, 0.0544], [0.8044, 0.2042, 0.4456], [0.3044, 0.2958, 0.5544], [0.1956, 0.7958, 0.9456], [0.3044, 0.2958, 0.9456], [0.1956, 0.7958, 0.5544], [0.6956, 0.7042, 0.4456], [0.8044, 0.2042, 0.0544], [0.3783, 0.0234, 0.2500], [0.1217, 0.5234, 0.2500], [0.6217, 0.9766, 0.7500], [0.8783, 0.4766, 0.7500], [0.9865, 0.9227, 0.2500], [0.5135, 0.4227, 0.2500], [0.0135, 0.0773, 0.7500], [0.4865, 0.5773, 0.7500], [0.7832, 0.7874, 0.1436], [0.7168, 0.2874, 0.3564], [0.2168, 0.2126, 0.6436], [0.2832, 0.7126, 0.8564], [0.2168, 0.2126, 0.8564], [0.2832, 0.7126, 0.6436], [0.7832, 0.7874, 0.3564], [0.7168, 0.2874, 0.1436], [0.5964, 0.6273, 0.1412], [0.9036, 0.1273, 0.3588], [0.4036, 0.3727, 0.6412], [0.0964, 0.8727, 0.8588], [0.4036, 0.3727, 0.8588], [0.0964, 0.8727, 0.6412], [0.5964, 0.6273, 0.3588], [0.9036, 0.1273, 0.1412], [0.6062, 0.6211, 0.9663], [0.8938, 0.1211, 0.5337], [0.3938, 0.3789, 0.4663], [0.1062, 0.8789, 0.0337], [0.3938, 0.3789, 0.0337], [0.1062, 0.8789, 0.4663], [0.6062, 0.6211, 0.5337], [0.8938, 0.1211, 0.9663], [0.7939, 0.7822, 0.9678], [0.7061, 0.2822, 0.5322], [0.2061, 0.2178, 0.4678], [0.2939, 0.7178, 0.0322], [0.2061, 0.2178, 0.0322], [0.2939, 0.7178, 0.4678], [0.7939, 0.7822, 0.5322], [0.7061, 0.2822, 0.9678], [0.5606, 0.8339, 0.0480], [0.9394, 0.3339, 0.4520], [0.4394, 0.1661, 0.5480], [0.0606, 0.6661, 0.9520], [0.4394, 0.1661, 0.9520], [0.0606, 0.6661, 0.5480], [0.5606, 0.8339, 0.4520], [0.9394, 0.3339, 0.0480], [0.8319, 0.5769, 0.0620], [0.6681, 0.0769, 0.4380], [0.1681, 0.4231, 0.5620], [0.3319, 0.9231, 0.9380], [0.1681, 0.4231, 0.9380], [0.3319, 0.9231, 0.5620], [0.8319, 0.5769, 0.4380], [0.6681, 0.0769, 0.0620], [0.5422, 0.9498, 0.2500], [0.9578, 0.4498, 0.2500], [0.4578, 0.0502, 0.7500], [0.0422, 0.5502, 0.7500], [0.4590, 0.1721, 0.2500], [0.0410, 0.6721, 0.2500], [0.5410, 0.8279, 0.7500], [0.9590, 0.3279, 0.7500], [0.2139, 0.0964, 0.2500], [0.2861, 0.5964, 0.2500], [0.7861, 0.9036, 0.7500], [0.7139, 0.4036, 0.7500], [0.2938, 0.8774, 0.2500], [0.2062, 0.3774, 0.2500], [0.7062, 0.1226, 0.7500], [0.7938, 0.6226, 0.7500], [0.3819, 0.0233, 0.1170], [0.1181, 0.5233, 0.3830], [0.6181, 0.9767, 0.6170], [0.8819, 0.4767, 0.8830], [0.6181, 0.9767, 0.8830], [0.8819, 0.4767, 0.6170], [0.3819, 0.0233, 0.3830], [0.1181, 0.5233, 0.1170]],
  "energy_ev_per_cell": -387.81,
  "sg": "Pnma, No. 62"
}



Copy entry 4 word for word.
{
  "formula": "MgVZn2WO6",
  "functional": "PBE with a Hubbard U",
  "state": "relaxed",
  "lattice": [[2.6790, 4.0523, -2.0711], [-3.8887, -2.7170, -3.6033], [-3.8963, -0.7771, 6.8952]],
  "species": ["Mg", "V", "Zn", "Zn", "W", "O", "O", "O", "O", "O", "O"],
  "frac_coords": [[0.0014, 0.3031, 0.3423], [0.0019, 0.9343, 0.5270], [0.0021, 0.6334, 0.1778], [0.0016, 0.4712, 0.7586], [0.0017, 0.9941, 0.9970], [0.7358, 0.8412, 0.1324], [0.3550, 0.1365, 0.9282], [0.3501, 0.4852, 0.2762], [0.3006, 0.7838, 0.5751], [0.6511, 0.1072, 0.3983], [0.6176, 0.4573, 0.7485]],
  "de_polymorph_ev_per_atom": 0.0000,
  "energy_ev_per_cell": -67.66,
  "sg": "R3, No. 146"
}